1.
Entry from the Materials Project database: a geometry-optimized Li4MnVP3O12 structure (GGA+U).

Output
Formation enthalpy at 0 K in kcal/mol of atoms: -61.644
M_tot in μB/f.u.: 5.0
Excess energy over the best structure of this formula in the dataset in eV/atom: 0.003
E_tot in eV per cell: -292.0

Cell lengths 9.2727, 8.4510, 8.4524 Å; angles 60.61, 63.21, 90.55 degrees
Sites, in units of the cell vectors:
1 O 0.1812 0.4876 0.3465
2 V 0.4409 0.1514 0.7061
3 O 0.2757 0.1608 0.9772
4 Li 0.5930 0.7899 0.6669
5 O 0.8106 0.4654 0.0339
6 P 0.7489 0.9575 0.7816
7 O 0.4086 0.6015 0.3833
8 Li 0.1477 0.3435 0.9282
9 O 0.4100 0.7928 0.6169
10 Mn 0.9662 0.6486 0.6900
11 O 0.2820 0.2457 0.5728
12 P 0.2419 0.7535 0.8063
13 O 0.5864 0.1907 0.4039
14 Li 0.0973 0.0607 0.6313
15 Mn 0.5621 0.8514 0.2865
16 O 0.7989 0.8421 0.6775
17 O 0.7397 0.8555 0.9961
18 O 0.5801 0.9892 0.8012
19 O 0.9009 0.2074 0.2599
20 Li 0.1370 0.7317 0.1973
21 O 0.5870 0.3886 0.6067
22 O 0.1099 0.8625 0.3398
23 Li 0.4128 0.2000 0.3249
24 O 0.8039 0.4856 0.6711
25 O 0.1801 0.5371 0.9872
26 O 0.1003 0.8008 0.7539
27 O 0.4144 0.0350 0.2028
28 O 0.8937 0.1535 0.6362
29 O 0.1024 0.4275 0.7024
30 P 0.7502 0.5376 0.5085
31 P 0.2495 0.4478 0.4980
32 P 0.7584 0.2519 0.2023
33 O 0.8982 0.5511 0.3056
34 O 0.7486 0.1309 0.1161
35 O 0.2648 0.8782 0.8866
36 O 0.1869 0.1727 0.3067
37 O 0.7249 0.7386 0.4305
38 Li 0.8992 0.9376 0.3695
39 Li 0.8551 0.6645 0.0668
40 P 0.2518 0.0555 0.2025
41 Li 0.8638 0.2638 0.8102
42 V 0.0349 0.3516 0.3082

2.
Entry from the Materials Project database: a geometry-optimized Li3MnVP3O12 structure (GGA+U).

Output
Formation enthalpy at 0 K in kcal/mol of atoms: -59.838
M_tot in μB/f.u.: 6.0
Excess energy over the best structure of this formula in the dataset in eV/atom: 0.061
E_tot in eV per cell: -559.5

Cell lengths 10.2274, 10.2274, 10.2274 Å; angles 109.29, 109.29, 109.29 degrees
Sites, in units of the cell vectors:
1 O 0.4052 0.7933 0.7981
2 O 0.5027 0.7965 0.3854
3 O 0.8919 0.8006 0.9967
4 O 0.7175 0.6219 0.5096
5 O 0.3812 0.8927 0.5902
6 Mn 0.0000 0.5000 0.5000
7 O 0.0033 0.1081 0.1994
8 O 0.7084 0.7162 0.0913
9 Li 0.3798 0.2563 0.1286
10 V 0.5000 0.0000 0.0000
11 O 0.2035 0.6146 0.4973
12 O 0.7162 0.0913 0.7084
13 O 0.4098 0.6188 0.1073
14 O 0.8927 0.5902 0.3812
15 O 0.4904 0.2825 0.3781
16 P 0.3763 0.7536 0.6272
17 O 0.6139 0.1146 0.9113
18 O 0.6146 0.4973 0.2035
19 O 0.5948 0.2067 0.2019
20 Li 0.3756 0.1270 0.7504
21 O 0.7981 0.4052 0.7933
22 Li 0.2563 0.1286 0.3798
23 O 0.0887 0.3861 0.8854
24 Li 0.6202 0.7437 0.8714
25 O 0.1994 0.0033 0.1081
26 O 0.2825 0.3781 0.4904
27 O 0.4973 0.2035 0.6146
28 O 0.5096 0.7175 0.6219
29 O 0.2019 0.5948 0.2067
30 P 0.1280 0.8791 0.7552
31 O 0.8906 0.2995 0.0104
32 Mn 0.5000 0.5000 0.5000
33 Li 0.7504 0.3756 0.1270
34 O 0.8006 0.9967 0.8919
35 O 0.3854 0.5027 0.7965
36 O 0.9087 0.2916 0.2838
37 O 0.7005 0.9896 0.1094
38 P 0.3728 0.6237 0.2464
39 Li 0.1270 0.7504 0.3756
40 V 0.0000 0.0000 0.0000
41 O 0.1073 0.4098 0.6188
42 Li 0.8714 0.6202 0.7437
43 Li 0.6244 0.8730 0.2496
44 O 0.0913 0.7084 0.7162
45 O 0.3861 0.8854 0.0887
46 O 0.6188 0.1073 0.4098
47 P 0.2448 0.8720 0.1209
48 O 0.2838 0.9087 0.2916
49 O 0.2995 0.0104 0.8906
50 V 0.0000 0.5000 0.0000
51 O 0.2067 0.2019 0.5948
52 O 0.5902 0.3812 0.8927
53 O 0.9967 0.8919 0.8006
54 O 0.1146 0.9113 0.6139
55 Li 0.7437 0.8714 0.6202
56 P 0.2464 0.3728 0.6237
57 Li 0.8730 0.2496 0.6244
58 Li 0.1286 0.3798 0.2563
59 P 0.8791 0.7552 0.1280
60 Mn 0.5000 0.0000 0.5000
61 V 0.0000 0.0000 0.5000
62 P 0.8720 0.1209 0.2448
63 O 0.9113 0.6139 0.1146
64 O 0.0104 0.8906 0.2995
65 O 0.8854 0.0887 0.3861
66 O 0.3781 0.4904 0.2825
67 Li 0.2496 0.6244 0.8730
68 P 0.1209 0.2448 0.8720
69 O 0.1094 0.7005 0.9896
70 Mn 0.5000 0.5000 0.0000
71 O 0.1081 0.1994 0.0033
72 P 0.6237 0.2464 0.3728
73 O 0.9896 0.1094 0.7005
74 O 0.2916 0.2838 0.9087
75 O 0.7933 0.7981 0.4052
76 P 0.6272 0.3763 0.7536
77 P 0.7552 0.1280 0.8791
78 O 0.6219 0.5096 0.7175
79 P 0.7536 0.6272 0.3763
80 O 0.7965 0.3854 0.5027

3.
Entry from the Materials Project database: a geometry-optimized Li6MnV3P6O24 structure (GGA+U).

Output
Formation enthalpy at 0 K in kcal/mol of atoms: -60.868
M_tot in μB/f.u.: 10.0
Excess energy over the best structure of this formula in the dataset in eV/atom: 0.047
E_tot in eV per cell: -562.8

Cell lengths 9.8142, 9.8740, 9.8894 Å; angles 86.24, 87.53, 87.42 degrees
Sites, in units of the cell vectors:
1 O 0.0394 0.4046 0.6148
2 O 0.1972 0.5880 0.1973
3 O 0.1675 0.3752 0.3879
4 O 0.6710 0.8854 0.8739
5 O 0.3098 0.9113 0.2942
6 Li 0.7698 0.3563 0.4532
7 Li 0.9297 0.8675 0.2676
8 V 0.7506 0.7487 0.7475
9 O 0.9078 0.5375 0.1142
10 O 0.5851 0.4045 0.7008
11 P 0.6757 0.0469 0.8402
12 O 0.8857 0.1000 0.4618
13 O 0.0589 0.2175 0.9069
14 V 0.0363 0.4675 0.2521
15 O 0.3050 0.3014 0.9172
16 O 0.8370 0.6212 0.6136
17 O 0.5831 0.1998 0.1946
18 O 0.8877 0.8776 0.6616
19 O 0.1129 0.8926 0.5240
20 O 0.5969 0.2815 0.4367
21 Li 0.0519 0.1459 0.7329
22 O 0.7214 0.5571 0.4088
23 Mn 0.4706 0.2432 0.0290
24 O 0.9372 0.7922 0.0925
25 V 0.2541 0.2506 0.2496
26 O 0.4428 0.5988 0.2835
27 O 0.4103 0.8092 0.7996
28 Li 0.6377 0.5562 0.2388
29 P 0.3322 0.9495 0.1419
30 O 0.0947 0.9440 0.7743
31 O 0.4713 0.8856 0.0948
32 O 0.3379 0.1127 0.1209
33 O 0.3812 0.9654 0.5968
34 Li 0.2657 0.9465 0.8579
35 O 0.6083 0.0290 0.3930
36 P 0.3534 0.5519 0.1740
37 Li 0.4821 0.5014 0.5492
38 O 0.0849 0.6998 0.6943
39 O 0.1162 0.1209 0.3373
40 Li 0.2296 0.6310 0.5708
41 P 0.0483 0.8541 0.6668
42 O 0.3878 0.1680 0.3789
43 Li 0.1495 0.7287 0.0527
44 O 0.1936 0.2005 0.5909
45 P 0.8339 0.6456 0.4525
46 Mn 0.2456 0.0295 0.4697
47 P 0.1518 0.3252 0.9522
48 V 0.7438 0.9676 0.5223
49 O 0.8800 0.6728 0.8901
50 O 0.6981 0.6864 0.0870
51 Li 0.9504 0.0010 0.0183
52 O 0.6073 0.8286 0.6188
53 O 0.6068 0.3778 0.9625
54 O 0.8069 0.8011 0.4168
55 O 0.2181 0.9094 0.0528
56 O 0.9170 0.0665 0.2077
57 P 0.8537 0.6751 0.0498
58 Li 0.8393 0.2689 0.9642
59 O 0.9194 0.3044 0.3103
60 O 0.3925 0.6218 0.0336
61 P 0.5500 0.1733 0.3477
62 V 0.5335 0.7492 0.9643
63 O 0.5368 0.1143 0.8791
64 P 0.6529 0.4490 0.8245
65 Li 0.4450 0.7725 0.3545
66 O 0.3774 0.3942 0.1715
67 P 0.1773 0.3542 0.5505
68 O 0.9739 0.6071 0.3877
69 O 0.6211 0.6094 0.8303
70 Li 0.5300 0.2248 0.6670
71 P 0.4470 0.8250 0.6450
72 O 0.6887 0.0763 0.6828
73 O 0.1232 0.3274 0.1131
74 O 0.2949 0.4398 0.5846
75 O 0.4027 0.7119 0.5599
76 P 0.9537 0.1476 0.3251
77 O 0.7980 0.0923 0.9121
78 V 0.9763 0.5319 0.7581
79 O 0.1051 0.4699 0.8937
80 O 0.8110 0.4207 0.8175

4.
Entry from the Materials Project database: a geometry-optimized Li2MnVP4O14 structure (GGA+U).

Output
Formation enthalpy at 0 K in kcal/mol of atoms: -61.146
M_tot in μB/f.u.: 6.0
Excess energy over the best structure of this formula in the dataset in eV/atom: 0.013
E_tot in eV per cell: -316.7

Cell lengths 8.2799, 4.8581, 13.3384 Å; angles 88.58, 90.00, 90.00 degrees
Sites, in units of the cell vectors:
1 P 0.2834 0.8312 0.9569
2 O 0.9365 0.8566 0.5430
3 O 0.9331 0.3556 0.0411
4 O 0.1555 0.2199 0.3762
5 P 0.1788 0.6401 0.7607
6 O 0.3426 0.9967 0.2482
7 O 0.3237 0.1249 0.9259
8 P 0.7834 0.1688 0.0431
9 P 0.7866 0.6679 0.5443
10 O 0.4331 0.6444 0.9589
11 O 0.6519 0.2812 0.1239
12 O 0.2022 0.3184 0.5568
13 O 0.4365 0.1434 0.4570
14 O 0.1767 0.9079 0.6958
15 O 0.6755 0.5912 0.8026
16 O 0.1755 0.4088 0.1974
17 V 0.4991 0.3507 0.8639
18 Li 0.3622 0.1618 0.6615
19 O 0.3269 0.6314 0.4253
20 O 0.0365 0.4455 0.7405
21 Li 0.8622 0.8382 0.3385
22 O 0.6939 0.1896 0.9428
23 O 0.7022 0.6816 0.4432
24 O 0.1939 0.8104 0.0572
25 P 0.2866 0.3321 0.4557
26 O 0.5365 0.5545 0.2595
27 O 0.8426 0.0033 0.7518
28 V 0.9991 0.6493 0.1361
29 O 0.0357 0.9478 0.2417
30 O 0.6555 0.7801 0.6238
31 Mn 0.9995 0.1498 0.6348
32 O 0.1519 0.7188 0.8761
33 Li 0.8622 0.3371 0.8375
34 Li 0.3622 0.6629 0.1625
35 P 0.1799 0.1397 0.2594
36 P 0.6799 0.8603 0.7406
37 O 0.8269 0.3686 0.5747
38 O 0.6767 0.0921 0.3042
39 O 0.8237 0.8751 0.0741
40 Mn 0.4995 0.8502 0.3652
41 O 0.5357 0.0522 0.7583
42 O 0.3430 0.4964 0.7533
43 P 0.6788 0.3599 0.2393
44 O 0.8430 0.5036 0.2467

> What is the formula in the third record?

Li6MnV3P6O24